This record from the Materials Project describes crystalline Y2TiO5 at its relaxed geometry. The functional is meta-GGA r2SCAN.

Cell: 3.685 10.356 11.250 Å, 90.00 90.00 90.00°
Fractional positions:
Y  0.750  0.864  0.557
Y  0.250  0.136  0.443
Y  0.250  0.615  0.723
Y  0.750  0.885  0.223
Ti  0.250  0.674  0.381
O  0.750  0.776  0.043
Ti  0.250  0.174  0.119
O  0.250  0.006  0.155
O  0.250  0.494  0.895
O  0.750  0.006  0.395
Y  0.750  0.364  0.943
O  0.250  0.256  0.271
O  0.750  0.236  0.117
O  0.250  0.224  0.957
O  0.750  0.244  0.771
O  0.250  0.724  0.543
O  0.750  0.506  0.105
Y  0.250  0.115  0.777
O  0.750  0.736  0.383
Y  0.750  0.385  0.277
O  0.750  0.744  0.729
O  0.250  0.506  0.345
O  0.750  0.994  0.845
Ti  0.750  0.326  0.619
O  0.250  0.764  0.883
Ti  0.750  0.826  0.881
O  0.250  0.994  0.605
O  0.250  0.756  0.229
O  0.750  0.494  0.655
Y  0.250  0.636  0.057
O  0.750  0.276  0.457
O  0.250  0.264  0.617

Results
Theoretical density: 4.729 Mg/m³
SG: Pnma, No. 62
ΔE_f: -3.7532 eV/atom

=====

This record from the Materials Project describes crystalline Y2Ti2O7 at its relaxed geometry. The functional is meta-GGA r2SCAN.

Cell: 7.143 7.143 7.143 Å, 60.00 60.00 60.00°
Fractional positions:
O  0.250  0.250  0.250
O  0.295  0.295  0.705
O  0.955  0.545  0.955
Y  0.125  0.625  0.125
Ti  0.625  0.625  0.125
O  0.705  0.705  0.295
O  0.000  0.000  0.000
O  0.545  0.545  0.955
O  0.295  0.705  0.705
O  0.705  0.295  0.295
Ti  0.625  0.125  0.625
Y  0.125  0.125  0.625
O  0.955  0.955  0.545
O  0.705  0.295  0.705
Y  0.125  0.125  0.125
Y  0.625  0.125  0.125
O  0.955  0.545  0.545
Ti  0.125  0.625  0.625
O  0.295  0.705  0.295
Ti  0.625  0.625  0.625
O  0.545  0.955  0.545
O  0.545  0.955  0.955

Results
Theoretical density: 4.968 Mg/m³
SG: Fd-3m, No. 227
ΔE_f: -3.6561 eV/atom

=====

This record from the Materials Project describes crystalline Yb2TiO5 at its relaxed geometry. The functional is meta-GGA r2SCAN.

Cell: 5.214 6.270 7.446 Å, 67.98 90.02 65.44°
Fractional positions:
O  0.750  0.854  0.957
O  0.028  0.658  0.641
O  0.315  0.658  0.141
O  0.244  0.148  0.042
O  0.396  0.854  0.457
O  0.178  0.998  0.745
O  0.975  0.342  0.354
Yb  0.639  0.722  0.751
Yb  0.371  0.274  0.249
O  0.824  0.998  0.245
Ti  0.988  0.002  0.017
Yb  0.641  0.721  0.251
O  0.609  0.147  0.543
Yb  0.356  0.274  0.749
O  0.683  0.342  0.854
Ti  0.011  0.002  0.517

Results
Relative energy among the computed polymorphs: 0.0022 eV/atom
Theoretical density: 7.802 Mg/m³
SG: Cc, No. 9
ΔE_f: -3.7522 eV/atom

=====

- Look up the theoretical density of the third one.
  7.802 Mg/m³